{"formula": "TbMgPd", "functional": "r²SCAN", "state": "relaxed", "dft_energy_ev_per_atom": -20.1485, "space_group": "P-62m", "cell": [[-3.832, -0.445, 6.355], [2.461, -6.192, -3.298], [3.468, 0.255, 2.109]], "species": ["Pd", "Tb", "Pd", "Mg", "Tb", "Mg", "Mg", "Tb", "Pd"], "frac_coords": [[0.000, 0.000, 0.000], [0.000, 0.588, 0.000], [0.667, 0.333, 0.500], [0.758, 0.758, 0.500], [0.588, 0.000, 0.000], [0.242, 0.000, 0.500], [0.000, 0.242, 0.500], [0.412, 0.412, 0.000], [0.333, 0.667, 0.500]]}